Record 1
This record from Materials Project describes a geometry-optimized K2Si4O9 structure. The functional is GGA-PBE.

Space-group type: P-1 (2)
DFT formation energy: -3.067 eV/atom
Relative energy among the computed polymorphs: 0 meV/atom

a b c (Å): 5.001 8.517 12.324
angles (deg): 70.84 89.59 89.01
Atoms (fractional coordinates):
K  0.236  0.435  0.139
K  0.256  0.911  0.651
K  0.744  0.089  0.349
K  0.764  0.565  0.861
Si  0.207  0.941  0.146
Si  0.213  0.698  0.399
Si  0.283  0.318  0.448
Si  0.292  0.832  0.936
Si  0.708  0.168  0.064
Si  0.717  0.682  0.552
Si  0.787  0.302  0.601
Si  0.793  0.059  0.854
O  0.095  0.274  0.566
O  0.102  0.993  0.860
O  0.232  0.207  0.370
O  0.243  0.810  0.075
O  0.248  0.520  0.377
O  0.248  0.666  0.908
O  0.284  0.845  0.280
O  0.398  0.102  0.096
O  0.407  0.713  0.501
O  0.593  0.287  0.499
O  0.602  0.898  0.904
O  0.716  0.155  0.720
O  0.752  0.334  0.092
O  0.752  0.480  0.623
O  0.757  0.190  0.925
O  0.768  0.793  0.630
O  0.898  0.007  0.140
O  0.905  0.726  0.434

Record 2
This record from Materials Project describes a geometry-optimized KSi4O9 structure. The functional is GGA-PBE.

Space-group type: P6/mmm (191)
DFT formation energy: -2.859 eV/atom
Magnetization: 1.0 Bohr magnetons per cell

a b c (Å): 5.248 5.248 7.727
angles (deg): 90.00 90.00 120.00
Atoms (fractional coordinates):
K  0.000  0.000  0.000
Si  0.333  0.667  0.293
Si  0.333  0.667  0.707
Si  0.667  0.333  0.293
Si  0.667  0.333  0.707
O  0.000  0.000  0.500
O  0.000  0.500  0.211
O  0.000  0.500  0.789
O  0.333  0.667  0.500
O  0.500  0.000  0.211
O  0.500  0.000  0.789
O  0.500  0.500  0.211
O  0.500  0.500  0.789
O  0.667  0.333  0.500

Record 3
This record from Materials Project describes a geometry-optimized K2Si3SnO9 structure. The functional is GGA-PBE.

Space-group type: P6_3/m (176)
DFT formation energy: -2.871 eV/atom
Relative energy among the computed polymorphs: 15 meV/atom
Magnetization: 0.0 Bohr magnetons per cell

a b c (Å): 6.969 6.969 10.171
angles (deg): 90.00 90.00 120.00
Atoms (fractional coordinates):
K  0.333  0.667  0.057
K  0.333  0.667  0.443
K  0.667  0.333  0.557
K  0.667  0.333  0.943
Si  0.129  0.383  0.750
Si  0.254  0.871  0.750
Si  0.383  0.254  0.250
Si  0.617  0.746  0.750
Si  0.746  0.129  0.250
Si  0.871  0.617  0.250
Sn  0.000  0.000  0.000
Sn  0.000  0.000  0.500
O  0.019  0.256  0.614
O  0.019  0.256  0.886
O  0.086  0.599  0.750
O  0.237  0.981  0.614
O  0.237  0.981  0.886
O  0.256  0.237  0.114
O  0.256  0.237  0.386
O  0.401  0.487  0.750
O  0.487  0.086  0.250
O  0.513  0.914  0.750
O  0.599  0.513  0.250
O  0.744  0.763  0.614
O  0.744  0.763  0.886
O  0.763  0.019  0.114
O  0.763  0.019  0.386
O  0.914  0.401  0.250
O  0.981  0.744  0.114
O  0.981  0.744  0.386

Record 4
This record from Materials Project describes a geometry-optimized K2Si3SnO9 structure. The functional is GGA-PBE.

Space-group type: R3 (146)
DFT formation energy: -2.885 eV/atom
Relative energy among the computed polymorphs: 0 meV/atom
Magnetization: 0.0 Bohr magnetons per cell

a b c (Å): 7.784 7.784 7.784
angles (deg): 83.12 83.12 83.12
Atoms (fractional coordinates):
K  0.000  0.000  0.000
K  0.270  0.509  0.725
K  0.509  0.725  0.270
K  0.725  0.270  0.509
Si  0.053  0.949  0.480
Si  0.397  0.986  0.603
Si  0.480  0.053  0.949
Si  0.603  0.397  0.986
Si  0.949  0.480  0.053
Si  0.986  0.603  0.397
Sn  0.272  0.272  0.272
Sn  0.753  0.753  0.753
O  0.016  0.812  0.345
O  0.055  0.142  0.374
O  0.142  0.374  0.055
O  0.176  0.490  0.398
O  0.247  0.875  0.546
O  0.345  0.016  0.812
O  0.374  0.055  0.142
O  0.398  0.176  0.490
O  0.490  0.398  0.176
O  0.546  0.247  0.875
O  0.576  0.580  0.863
O  0.580  0.863  0.576
O  0.649  0.908  0.950
O  0.812  0.345  0.016
O  0.863  0.576  0.580
O  0.875  0.546  0.247
O  0.908  0.950  0.649
O  0.950  0.649  0.908

Record 5
This record from Materials Project describes a geometry-optimized K3Ti4Si3O20 structure. The functional is GGA-PBE.

Space-group type: P-43m (215)
DFT formation energy: -2.424 eV/atom
Magnetization: 5.5 Bohr magnetons per cell

a b c (Å): 7.837 7.837 7.837
angles (deg): 90.00 90.00 90.00
Atoms (fractional coordinates):
K  0.000  0.000  0.500
K  0.000  0.500  0.000
K  0.500  0.000  0.000
Ti  0.354  0.354  0.646
Ti  0.354  0.646  0.354
Ti  0.646  0.354  0.354
Ti  0.646  0.646  0.646
Si  0.000  0.500  0.500
Si  0.500  0.000  0.500
Si  0.500  0.500  0.000
O  0.116  0.377  0.623
O  0.116  0.623  0.377
O  0.178  0.178  0.178
O  0.178  0.822  0.822
O  0.377  0.116  0.623
O  0.377  0.377  0.884
O  0.377  0.623  0.116
O  0.377  0.884  0.377
O  0.388  0.388  0.388
O  0.388  0.612  0.612
O  0.612  0.388  0.612
O  0.612  0.612  0.388
O  0.623  0.116  0.377
O  0.623  0.377  0.116
O  0.623  0.623  0.884
O  0.623  0.884  0.623
O  0.822  0.178  0.822
O  0.822  0.822  0.178
O  0.884  0.377  0.377
O  0.884  0.623  0.623

Record 6
This record from Materials Project describes a geometry-optimized K2TiSi3O10 structure. The functional is GGA-PBE.

Space-group type: P2_12_12_1 (19)
DFT formation energy: -2.799 eV/atom
Magnetization: 0.0 Bohr magnetons per cell

a b c (Å): 7.204 10.002 13.008
angles (deg): 90.00 90.00 90.00
Atoms (fractional coordinates):
K  0.159  0.219  0.126
K  0.217  0.061  0.415
K  0.283  0.939  0.915
K  0.341  0.781  0.626
K  0.659  0.281  0.874
K  0.717  0.439  0.585
K  0.783  0.561  0.085
K  0.841  0.719  0.374
Ti  0.238  0.550  0.208
Ti  0.262  0.450  0.708
Ti  0.738  0.950  0.792
Ti  0.762  0.050  0.292
Si  0.011  0.177  0.676
Si  0.079  0.859  0.168
Si  0.234  0.467  0.450
Si  0.266  0.533  0.950
Si  0.421  0.141  0.668
Si  0.489  0.823  0.176
Si  0.511  0.323  0.324
Si  0.579  0.641  0.832
Si  0.734  0.033  0.550
Si  0.766  0.967  0.050
Si  0.921  0.359  0.332
Si  0.989  0.677  0.824
O  0.015  0.439  0.237
O  0.019  0.408  0.442
O  0.054  0.336  0.687
O  0.068  0.699  0.185
O  0.086  0.196  0.911
O  0.097  0.614  0.726
O  0.126  0.661  0.925
O  0.203  0.092  0.651
O  0.220  0.484  0.066
O  0.244  0.421  0.859
O  0.256  0.579  0.359
O  0.280  0.516  0.566
O  0.297  0.908  0.151
O  0.374  0.339  0.425
O  0.403  0.386  0.226
O  0.414  0.804  0.411
O  0.432  0.301  0.685
O  0.446  0.664  0.187
O  0.481  0.592  0.942
O  0.485  0.561  0.737
O  0.515  0.061  0.763
O  0.519  0.092  0.558
O  0.554  0.164  0.313
O  0.568  0.801  0.815
O  0.586  0.304  0.089
O  0.597  0.886  0.274
O  0.626  0.839  0.075
O  0.703  0.408  0.349
O  0.720  0.016  0.934
O  0.744  0.079  0.141
O  0.756  0.921  0.641
O  0.780  0.984  0.434
O  0.797  0.592  0.849
O  0.874  0.161  0.575
O  0.903  0.114  0.774
O  0.914  0.696  0.589
O  0.932  0.199  0.315
O  0.946  0.836  0.813
O  0.981  0.908  0.058
O  0.985  0.939  0.263

Record 7
This record from Materials Project describes a geometry-optimized KTiSi3O11 structure. The functional is GGA-PBE.

Space-group type: P2_1/c (14)
DFT formation energy: -2.450 eV/atom
Magnetization: 20.0 Bohr magnetons per cell

a b c (Å): 7.292 9.946 13.034
angles (deg): 90.00 91.76 90.00
Atoms (fractional coordinates):
K  0.238  0.214  0.099
K  0.238  0.286  0.599
K  0.762  0.714  0.401
K  0.762  0.786  0.901
Ti  0.231  0.706  0.295
Ti  0.231  0.794  0.795
Ti  0.769  0.206  0.205
Ti  0.769  0.294  0.705
Si  0.080  0.102  0.832
Si  0.080  0.398  0.332
Si  0.226  0.712  0.553
Si  0.226  0.788  0.053
Si  0.487  0.062  0.827
Si  0.487  0.438  0.327
Si  0.513  0.562  0.673
Si  0.513  0.938  0.173
Si  0.774  0.212  0.947
Si  0.774  0.288  0.447
Si  0.920  0.602  0.668
Si  0.920  0.898  0.168
O  0.017  0.648  0.561
O  0.017  0.852  0.061
O  0.021  0.679  0.764
O  0.021  0.821  0.264
O  0.074  0.561  0.321
O  0.074  0.939  0.821
O  0.245  0.728  0.938
O  0.245  0.772  0.438
O  0.260  0.679  0.146
O  0.260  0.821  0.646
O  0.296  0.506  0.890
O  0.296  0.994  0.390
O  0.297  0.148  0.845
O  0.297  0.352  0.345
O  0.371  0.586  0.574
O  0.371  0.914  0.074
O  0.416  0.629  0.775
O  0.416  0.871  0.275
O  0.424  0.018  0.590
O  0.424  0.482  0.090
O  0.448  0.596  0.317
O  0.448  0.904  0.817
O  0.552  0.096  0.183
O  0.552  0.404  0.683
O  0.576  0.518  0.910
O  0.576  0.982  0.410
O  0.584  0.129  0.725
O  0.584  0.371  0.225
O  0.629  0.086  0.926
O  0.629  0.414  0.426
O  0.703  0.648  0.655
O  0.703  0.852  0.155
O  0.704  0.006  0.610
O  0.704  0.494  0.110
O  0.740  0.179  0.354
O  0.740  0.321  0.854
O  0.755  0.228  0.562
O  0.755  0.272  0.062
O  0.926  0.061  0.179
O  0.926  0.439  0.679
O  0.979  0.179  0.736
O  0.979  0.321  0.236
O  0.983  0.148  0.939
O  0.983  0.352  0.439

Record 8
This record from Materials Project describes a geometry-optimized K2TiSi6O15 structure. The functional is GGA-PBE.

Space-group type: P2_1 (4)
DFT formation energy: -3.191 eV/atom
Relative energy among the computed polymorphs: 0 meV/atom
Magnetization: 0.0 Bohr magnetons per cell

a b c (Å): 7.009 12.939 7.759
angles (deg): 90.00 106.18 90.00
Atoms (fractional coordinates):
K  0.190  0.000  0.421
K  0.200  0.297  0.151
K  0.800  0.797  0.849
K  0.810  0.500  0.579
Ti  0.244  0.656  0.751
Ti  0.756  0.156  0.249
Si  0.008  0.727  0.332
Si  0.013  0.563  0.044
Si  0.306  0.900  0.931
Si  0.329  0.396  0.709
Si  0.449  0.739  0.443
Si  0.454  0.571  0.164
Si  0.546  0.071  0.836
Si  0.551  0.239  0.557
Si  0.671  0.896  0.291
Si  0.694  0.400  0.069
Si  0.987  0.063  0.956
Si  0.992  0.227  0.668
O  0.023  0.613  0.857
O  0.026  0.679  0.526
O  0.074  0.146  0.835
O  0.134  0.330  0.722
O  0.135  0.963  0.998
O  0.207  0.797  0.829
O  0.226  0.771  0.320
O  0.235  0.523  0.163
O  0.267  0.514  0.667
O  0.387  0.974  0.792
O  0.411  0.343  0.548
O  0.439  0.627  0.975
O  0.451  0.705  0.643
O  0.465  0.146  0.659
O  0.499  0.877  0.102
O  0.501  0.377  0.898
O  0.535  0.646  0.341
O  0.549  0.205  0.357
O  0.561  0.127  0.025
O  0.589  0.843  0.452
O  0.613  0.474  0.208
O  0.733  0.014  0.333
O  0.765  0.023  0.837
O  0.774  0.271  0.680
O  0.793  0.297  0.171
O  0.865  0.463  0.002
O  0.866  0.830  0.278
O  0.926  0.646  0.165
O  0.974  0.179  0.474
O  0.977  0.113  0.143

Q: Number 5 is which compound?
A: K3Ti4Si3O20

Q: Among the records above, which one has the highest DFT formation energy?
A: K3Ti4Si3O20